Below is an optimized crystal structure of Tm3Ge3Ru2, with properties calculated at the PBE level.

Cell: 4.2409 10.6978 13.8060 Å, 90.00 90.00 90.00°
Space group Cmcm (No. 63)
Unique sites:
1 Tm 0.0000 0.0773 0.1137 [8 per cell]
2 Tm 0.0000 0.3536 0.2500 [4 per cell]
3 Ge 0.0000 0.3390 0.7500 [4 per cell]
4 Ge 0.0000 0.3857 0.0406 [8 per cell]
5 Ru 0.0000 0.2128 0.5833 [8 per cell]


Below is an optimized crystal structure of La2Se3, with properties calculated at the PBE level.

Cell: 9.1071 9.1071 27.2275 Å, 90.00 90.00 90.00°
Space group I-42d (No. 122)
Unique sites:
1 La 0.0000 0.0000 0.1664 [8 per cell]
2 La 0.1201 0.2500 0.6250 [8 per cell]
3 La 0.1365 0.2427 0.2894 [16 per cell]
4 Se 0.0725 0.1744 0.0671 [16 per cell]
5 Se 0.0735 0.1804 0.3960 [16 per cell]
6 Se 0.0805 0.1698 0.7338 [16 per cell]


Below is an optimized crystal structure of CuSnPd2, with properties calculated at the PBE level.

- total moment (Bohr magnetons per cell) = 0.00

Cell: 7.9807 7.9807 3.9744 Å, 90.00 90.00 90.00°
Space group P4/mmm (No. 123)
Unique sites:
1 Cu 0.0000 0.2445 0.0000 [4 per cell]
2 Sn 0.0000 0.0000 0.5000 [1 per cell]
3 Sn 0.0000 0.5000 0.5000 [2 per cell]
4 Sn 0.5000 0.5000 0.5000 [1 per cell]
5 Pd 0.2397 0.2397 0.5000 [4 per cell]
6 Pd 0.2411 0.5000 0.0000 [4 per cell]


Below is an optimized crystal structure of SrC2, with properties calculated at the PBE level.

Cell: 7.0874 4.4301 7.8990 Å, 90.00 108.35 90.00°
Space group C2/c (No. 15)
Unique sites:
1 Sr 0.0000 0.1796 0.2500 [4 per cell]
2 C 0.2272 0.3507 0.9406 [8 per cell]


Below is an optimized crystal structure of ErSe2, with properties calculated at the PBE level.

Cell: 4.0501 5.6545 13.3252 Å, 90.00 90.00 90.00°
Space group Immm (No. 71)
Unique sites:
1 Er 0.0000 0.0000 0.1500 [4 per cell]
2 Se 0.0000 0.2856 0.5000 [4 per cell]
3 Se 0.0000 0.5000 0.2068 [4 per cell]


Below is an optimized crystal structure of Ti2CuP2O10, with properties calculated at the PBE level.

- total moment (Bohr magnetons per cell) = 2.00

Cell: 7.1460 7.9213 7.3891 Å, 90.00 119.42 90.00°
Space group P2_1/c (No. 14)
Unique sites:
1 Ti 0.2378 0.2184 0.0350 [4 per cell]
2 Cu 0.5000 0.0000 0.5000 [2 per cell]
3 P 0.2501 0.5975 0.2467 [4 per cell]
4 O 0.0585 0.7083 0.0997 [4 per cell]
5 O 0.1904 0.0108 0.8844 [4 per cell]
6 O 0.2759 0.1467 0.2761 [4 per cell]
7 O 0.3123 0.0283 0.6206 [4 per cell]
8 O 0.4439 0.7116 0.3756 [4 per cell]


Below is an optimized crystal structure of Mo2Rh2C, with properties calculated at the PBE level.

- total moment (Bohr magnetons per cell) = 0.00

Cell: 2.8885 2.8885 27.6343 Å, 90.00 90.00 120.00°
Space group R-3m (No. 166, hexagonal axes)
Unique sites:
1 Mo 0.0000 0.0000 0.1189 [6 per cell]
2 Rh 0.0000 0.0000 0.3756 [6 per cell]
3 C 0.0000 0.0000 0.5000 [3 per cell]


Below is an optimized crystal structure of Cu2AsO5, with properties calculated at the PBE level.

- energy above the lowest structure with this stoichiometry (eV per formula unit) = 0.000

Cell: 5.8917 8.7503 10.0010 Å, 90.00 125.90 90.00°
Space group P2_1/c (No. 14)
Unique sites:
1 Cu 0.1748 0.1103 0.1498 [4 per cell]
2 Cu 0.2510 0.5021 0.9986 [4 per cell]
3 As 0.2287 0.7485 0.7392 [4 per cell]
4 O 0.0385 0.6033 0.5926 [4 per cell]
5 O 0.1321 0.5766 0.1339 [4 per cell]
6 O 0.1372 0.7483 0.8716 [4 per cell]
7 O 0.3755 0.0708 0.3730 [4 per cell]
8 O 0.4178 0.2252 0.6667 [4 per cell]


Below is an optimized crystal structure of ErFe2Ge2, with properties calculated at the PBE level.

Cell: 3.9536 3.9536 10.2070 Å, 90.00 90.00 90.00°
Space group I4/mmm (No. 139)
Unique sites:
1 Er 0.0000 0.0000 0.0000 [2 per cell]
2 Fe 0.0000 0.5000 0.2500 [4 per cell]
3 Ge 0.0000 0.0000 0.3741 [4 per cell]


Below is an optimized crystal structure of Ba6MgNb2IrCl2O12, with properties calculated at the PBE level.

- energy above the lowest structure with this stoichiometry (eV per formula unit) = 2.718
- total moment (Bohr magnetons per cell) = 0.88

Cell: 6.0705 6.0705 15.0268 Å, 90.00 90.00 120.00°
Space group P-3m1 (No. 164)
Unique sites:
1 Ba 0.3333 0.6667 0.0716 [2 per cell]
2 Ba 0.3333 0.6667 0.3639 [2 per cell]
3 Ba 0.3333 0.6667 0.7929 [2 per cell]
4 Mg 0.0000 0.0000 0.5000 [1 per cell]
5 Nb 0.0000 0.0000 0.1863 [2 per cell]
6 Ir 0.0000 0.0000 0.0000 [1 per cell]
7 Cl 0.3333 0.6667 0.5810 [2 per cell]
8 O 0.1536 0.3073 0.9175 [6 per cell]
9 O 0.1621 0.3242 0.2423 [6 per cell]


Below is an optimized crystal structure of MgCr2N2, with properties calculated at the PBE level.

- total moment (Bohr magnetons per cell) = 5.99

Cell: 3.7006 3.7006 5.4688 Å, 90.00 90.00 90.00°
Space group P-4m2 (No. 115)
Unique sites:
1 Mg 0.0000 0.0000 0.0000 [1 per cell]
2 Cr 0.5000 0.5000 0.2519 [2 per cell]
3 N 0.0000 0.5000 0.7700 [2 per cell]


Below is an optimized crystal structure of Mg6NbH16, with properties calculated at the PBE level.

- total moment (Bohr magnetons per cell) = 7.66

Cell: 9.5195 9.5195 9.5195 Å, 90.00 90.00 90.00°
Space group Fm-3m (No. 225)
Unique sites:
1 Mg 0.0000 0.2500 0.2500 [24 per cell]
2 Nb 0.0000 0.0000 0.0000 [4 per cell]
3 H 0.1155 0.1155 0.1155 [32 per cell]
4 H 0.1430 0.1430 0.3570 [32 per cell]


| no. | energy (eV per cell) | energy of formation (meV/atom) |
| --- | --- | --- |
| 1 | -208.51 | -785 |
| 2 | -488.16 | -2313 |
| 3 | -79.48 | -350 |
| 4 | -80.34 | 20 |
| 5 | -64.40 | -1828 |
| 6 | -230.63 | -2799 |
| 7 | -137.98 | -69 |
| 8 | -175.90 | -1227 |
| 9 | -65.99 | -448 |
| 10 | -161.60 | -2692 |
| 11 | -36.89 | -7 |
| 12 | -300.35 | -172 |